UC3SN2O8: optimized geometry, PBE.

Output
The value obtained for the spin magnetization is 5.09 μB/f.u. Its energy is -7.282 eV/atom. As for the calculated volume: 24.71 Å³/atom. As for the MP2020-corrected energy: -0.5440 Ry per atom. For the formation energy, the calculation gives -777 meV/atom. The energy above the most stable polymorph in this dataset is 0 meV per atom. As for the symmetry: No. 15.

Geometry as extended XYZ:
```
30
Lattice="-4.6189 -6.6688 1.7372 -4.6189 6.6688 1.7372 1.3460 0.0000 -12.5413" Properties=species:S:1:pos:R:3 pbc="T T T"
O -7.2262 1.7361 1.9772
O -0.3064 -0.3368 -0.4038
O -8.2584 -0.3368 -2.3925
O -7.5854 0.3368 -8.6632
O -2.3914 4.3269 -8.9925
O -0.6656 -1.7361 -11.0442
O -3.0644 -4.3269 -2.7219
O -4.8274 4.3269 -6.3451
O 0.3666 0.3368 -6.6744
O -2.6057 2.4266 -6.5310
O -5.2860 -2.4266 -2.5360
O -4.6131 2.4266 -8.8066
O -1.3386 1.7361 -4.7736
O -6.5532 -1.7361 -4.2934
O -3.2787 -2.4266 -0.2604
O -5.5004 -4.3269 -0.0745
C -6.0575 -2.6024 -3.5186
C -2.5072 -2.6024 0.7223
C -1.8342 2.6024 -5.5484
C -3.6094 -5.2934 -7.6688
C -5.3845 2.6024 -9.7893
C -4.2824 5.2934 -1.3982
N -4.2824 0.3710 -1.3982
N -4.2824 6.4880 -1.3982
N -3.6094 -6.4880 -7.6688
N -3.6094 -0.3710 -7.6688
S -4.2824 3.6945 -1.3982
S -3.6094 -3.6945 -7.6688
U -4.2824 -4.3238 -1.3982
U -3.6094 4.3238 -7.6688
```



K3B6ClO10: optimized geometry, PBE.

Output
The value obtained for the spin magnetization is 0.00 μB/f.u. Its energy is -7.122 eV/atom. As for the calculated volume: 13.59 Å³/atom. As for the MP2020-corrected energy: -0.5487 Ry per atom. For the formation energy, the calculation gives -2729 meV/atom. As for the symmetry: No. 160.

Geometry as extended XYZ:
```
20
Lattice="4.2240 -5.0796 0.0000 4.2240 5.0796 0.0000 -1.8844 0.0000 6.3319" Properties=species:S:1:pos:R:3 pbc="T T T"
B 4.2269 2.2724 5.9006
B 4.2269 -2.2724 5.9006
B 2.2190 -3.7426 5.1430
B 2.2190 3.7426 5.1430
B 6.9596 0.0000 3.0679
B 6.7196 0.0000 0.4777
O 3.3738 3.3530 5.9446
O 2.5864 -3.8861 3.7254
O 7.4060 0.0000 1.7649
O 1.1719 -2.7098 5.1916
O 5.8867 0.0000 5.6789
O 1.1719 2.7098 5.1916
O 5.8451 -1.1763 0.3474
O 5.8451 1.1763 0.3474
O 2.5864 3.8861 3.7254
O 3.3738 -3.3530 5.9446
K 1.5113 0.0000 5.8412
K 4.7966 -2.7320 2.4357
K 4.7966 2.7320 2.4357
Cl 2.8754 0.0000 2.7739
```



NaHf3TaSi3S3O24: optimized geometry, PBE.

Output
The value obtained for the spin magnetization is 0.00 μB/f.u. Its energy is -7.895 eV/atom. As for the calculated volume: 15.29 Å³/atom. As for the MP2020-corrected energy: -0.6149 Ry per atom. For the formation energy, the calculation gives -2924 meV/atom. As for the symmetry: No. 1.

Geometry as extended XYZ:
```
105
Lattice="8.9357 0.0099 -0.0380 -4.4593 7.7488 0.0108 -0.0967 -0.0240 23.1660" Properties=species:S:1:pos:R:3 pbc="T T T"
Hf 4.2646 2.4870 15.9203
Hf -0.1202 5.1639 0.5201
Hf -0.0221 5.2730 18.6737
Hf -0.0138 0.0575 19.7071
Hf 4.5047 2.6800 4.2449
Hf 4.3830 2.6702 11.1965
Hf -0.1430 5.0704 7.1883
Hf 4.3977 7.7481 8.2670
Hf 4.2567 2.5743 22.6769
S 5.7610 0.3410 1.9150
S 5.6715 5.5082 17.3300
S 7.0139 2.5773 13.4887
S 2.5353 0.0105 5.7911
S 1.2503 2.9399 9.6438
S 1.2274 7.3756 9.6437
S 3.1579 5.5352 5.7758
S -1.3908 2.9035 21.2317
S 2.4925 5.1701 21.2250
Si 5.7334 4.8505 1.8815
Si 7.5898 2.2016 5.7751
Si 3.0560 0.3846 13.4925
Si 1.8927 2.6450 1.9317
Si -1.3853 7.3944 21.2205
Si 6.3114 0.0467 17.3439
Si 3.1209 4.8490 13.5279
Si 1.1931 2.2465 17.3523
Si -2.6308 5.1167 9.6701
O 0.6617 6.7461 8.4247
O -0.7812 1.5401 21.1254
O 5.4154 1.3836 17.1673
O 0.7509 6.7572 1.7491
O 6.0784 2.7581 21.3888
O 6.1920 2.3526 12.2693
O 2.7959 2.7449 3.2675
O -0.6664 1.4151 4.5043
O 5.1695 0.9550 3.1253
O 0.9191 1.2643 2.1751
O -1.1438 3.7127 20.0376
O 2.8011 2.2676 0.6393
O 0.9470 3.8889 1.6604
O 5.0610 6.1119 18.5439
O 1.0009 6.5327 10.8485
O 3.8319 0.9738 14.7669
O 3.3703 6.3493 21.0807
O 7.2321 0.1940 18.6738
O -2.7710 7.5252 4.5827
O 0.5675 1.4472 16.0529
O 1.7084 5.4063 5.9885
O 7.9245 1.2731 7.0633
O 5.3816 3.7914 9.7731
O -1.6487 4.9387 8.3559
O 3.7813 1.1345 21.3769
O 3.3921 1.1964 5.6232
O -3.4913 6.3499 16.1639
O 3.8061 4.1843 12.1890
O 1.6718 5.3387 22.4382
O -1.6192 5.0372 1.7463
O 3.3925 1.2406 12.1510
O 0.9322 6.4662 17.5207
O -0.6203 3.6443 5.9813
O 1.5135 4.9785 13.1158
O 3.4306 6.3515 4.5731
O 5.0361 6.3324 2.2209
O -1.8089 5.3718 17.5381
O -3.5237 6.4490 9.3957
O 5.0839 4.1746 17.1639
O 5.0545 4.1640 0.5912
O 1.6731 4.9251 20.0184
O 0.4896 3.6607 17.6262
O -0.7771 3.5057 22.4519
O -1.5983 5.3054 10.9443
O 1.4886 0.1356 13.7889
O 1.0406 3.7826 8.4261
O 2.7055 7.5037 9.4672
O 2.8359 7.5635 16.0384
O 0.6550 3.5494 10.8342
O -3.0203 7.5376 21.1336
O 2.7245 2.7680 9.7600
O -0.7373 6.6530 19.9288
O 0.6486 1.5981 9.4370
O 3.7926 6.1406 6.9846
O 2.8121 2.4058 17.2250
O 3.7605 4.1751 5.6409
O 5.1102 0.9759 9.7810
O 3.7504 6.3262 13.7720
O 3.3793 3.8936 14.7845
O 5.6039 1.1950 0.7226
O 0.9956 1.2826 18.6573
O -1.0579 6.4910 22.5485
O 1.6797 0.2039 6.9820
O -0.7100 6.6213 13.2290
O 5.9793 2.3570 5.6211
O 3.3683 3.9497 21.3566
O -1.0245 3.7568 13.2644
O 7.2605 0.1892 2.1199
O 7.8828 1.3952 13.6420
O -1.0638 6.5656 5.9670
O 6.2114 2.8603 14.6680
O 5.4903 3.9350 3.2109
Na 4.5439 2.6181 7.7253
Na -4.4462 7.6896 23.0812
Na 4.3603 2.4475 19.2155
Ta -0.1280 5.2271 12.2021
Ta 8.8462 0.0028 14.9220
Ta 0.0299 0.0957 3.3130
```



Na14Y4Ti4Si9S3O48: optimized geometry, PBE.

Output
The value obtained for the spin magnetization is 0.00 μB/f.u. Its energy is -7.077 eV/atom. As for the calculated volume: 13.51 Å³/atom. As for the MP2020-corrected energy: -0.5497 Ry per atom. For the formation energy, the calculation gives -2910 meV/atom. As for the symmetry: No. 1.

Geometry as extended XYZ:
```
246
Lattice="-7.6216 13.0609 -10.6307 -1.5061 -8.8987 -1.8518 -18.2540 0.3353 13.1974" Properties=species:S:1:pos:R:3 pbc="T T T"
O -8.0518 2.7471 -1.8830
O -10.1567 3.0549 1.8903
O -15.8500 0.4671 6.6202
O -5.0849 3.1234 -1.9393
O -24.8378 4.5909 1.0320
O -24.1201 1.5417 4.3060
O -15.5960 7.8654 -5.4617
O -15.9677 -0.0238 9.1739
O -15.1898 8.2177 -0.8771
O -7.7104 -0.0308 -1.4057
O -15.6913 2.8722 2.9702
O -18.5172 6.6060 -1.3045
O -23.6618 6.5267 2.5019
O -19.0263 -2.8970 11.1345
O -7.6950 4.8950 -3.0560
O -14.4692 4.5137 -1.7539
O -9.9634 2.9785 -10.3396
O -21.7902 11.6593 0.9799
O -11.7777 1.6058 -2.3157
O -13.2696 3.2073 1.8513
O -15.7496 2.5777 -3.3123
O -19.3056 1.7993 2.4067
O -13.5798 -0.1889 7.9969
O -7.1065 -5.2190 0.1838
O -11.6854 6.4405 -6.6818
O -8.8277 9.8604 -7.1216
O -19.1307 4.7538 -3.3340
O -17.0132 1.5439 -1.1152
O -2.5215 0.2431 -2.4479
O -17.5161 8.8103 0.2215
O -9.6899 -4.1287 0.4979
O -11.7040 4.5725 -8.7135
O -20.8158 2.6666 0.3010
O -14.2637 9.6115 -3.5048
O -20.7386 2.8527 6.8203
O -10.1494 -4.8201 4.1391
O -8.5672 -2.0571 1.9505
O -19.6078 7.1346 1.1774
O -17.1153 9.7207 -3.5121
O -12.7845 -0.4586 -1.4425
O -18.0702 -0.5756 2.1852
O -8.7195 6.2791 -6.6879
O -2.9074 -7.4294 -0.3874
O -9.5001 -1.1423 -5.4767
O -10.3525 7.8269 -2.4376
O -6.4035 6.1357 -5.1761
O -11.9398 -3.1835 5.8581
O -21.0831 5.1633 6.1651
O -12.2563 4.7460 -3.2879
O -11.9125 9.2944 -7.1908
O -23.3653 6.3577 -1.2387
O -17.3122 4.2616 -1.5191
O -17.5504 1.0790 4.3376
O -16.9038 -3.1399 9.9461
O -10.6544 -2.0775 3.6418
O -13.6067 2.5176 5.7286
O -13.0595 -0.3745 2.2912
O -8.0770 -4.8093 2.8143
O -21.0780 3.2237 -2.3065
O -4.9538 0.0369 -1.5217
O -6.2908 6.8150 -7.6717
O -22.7415 -0.6853 4.1225
O -11.8320 1.2219 0.0211
O -6.7554 -0.8263 -5.5101
O -2.9904 -4.8800 -1.2252
O -4.1013 -1.3449 2.1198
O -13.7060 2.1910 -5.0163
O -22.0487 1.5318 2.5954
O -22.8218 3.5779 5.8008
O -9.5222 3.4687 -3.6659
O -10.1045 0.0920 2.0668
O -20.7495 3.4012 4.4905
O -17.2580 -1.3510 11.5882
O -15.4212 7.8182 1.6509
O -19.7591 -0.2184 4.1892
O -10.6528 7.7025 -9.2780
O -3.5913 -2.2233 -1.7952
O -12.0705 -3.2241 -0.4882
O -16.8873 6.1827 -3.3647
O -17.2951 -3.2055 2.9190
O -16.0681 3.3874 -5.7970
O -14.8433 5.3046 2.1728
O -7.8245 -2.0008 -3.2906
O -3.3207 3.4783 -3.5727
O -20.1637 9.6516 0.5161
O -9.0170 -6.8682 3.7306
O -7.0840 9.9220 -8.8094
O -8.3755 7.1006 -10.5927
O -11.8492 -3.9873 2.0358
O -7.6058 -2.5585 -0.6749
O -6.9137 1.6800 -6.3465
O -10.2769 8.4163 -4.9780
O -17.5474 6.0766 2.5308
O -11.4135 1.6702 4.4450
O -18.2284 -5.2698 7.8428
O -19.3347 9.2053 -2.0962
O -19.8836 6.6539 3.7208
O -20.2854 -4.9679 9.5361
O -12.9370 -5.0442 4.2396
O -6.0463 -3.0897 1.4973
O -16.8140 -3.6708 5.4609
O -6.6080 1.1622 -3.6374
O -21.3502 7.6174 -0.9665
O -2.7253 -0.3291 0.0447
O -5.7376 -7.4042 -0.1867
O -22.6818 9.0027 3.8320
O -15.2152 -4.8960 7.8377
O -19.5531 4.4749 2.1012
O -12.4344 6.0374 -0.9341
O -8.4392 2.3279 -8.5759
O -6.3765 1.8048 0.0962
O -13.9918 -6.9463 7.7139
O -18.9317 -7.2805 9.5228
O -7.1302 4.2666 -7.0491
O -11.4969 1.2525 6.9881
O -10.5525 1.2144 -5.0997
O -21.2280 -1.9708 6.3525
O -13.5692 11.1994 -6.6992
O -20.1112 0.0833 7.7452
O -17.9043 5.3552 6.3914
O -14.8065 -0.4161 3.9761
O -4.6121 0.5731 -5.2863
O -13.9029 6.7804 -3.1437
O -18.6533 -1.9847 7.3796
O -15.6324 3.4501 0.4097
O -9.9045 -1.3779 -1.6864
O -6.7336 1.2294 2.6206
O -13.7332 4.9170 -6.9967
O -13.4716 -2.3515 3.7000
O -11.3132 3.8262 -6.2144
O -24.5366 4.2027 3.6356
O -24.6032 9.3932 1.6246
O -16.4827 3.2673 5.9034
O -18.7289 11.6723 -3.0489
O -18.9494 2.3535 9.1955
O -9.5341 4.5844 -1.4952
O -13.9474 1.6254 -1.1749
O -8.6384 -0.5073 4.2556
O -22.3467 4.2425 2.1440
O -20.8024 -2.2997 8.9368
O -15.0015 -1.7569 1.9185
O -4.7800 5.3094 -3.0760
O -15.3367 -2.0612 7.4555
O -4.7499 -4.3447 -3.2252
Na -18.0667 1.5883 6.7758
Na -8.9463 1.5802 0.4112
Na -15.0942 5.2604 -4.6571
Na -21.5696 10.0945 -1.4694
Na -15.1187 2.6041 7.8245
Na -21.7783 8.0420 1.5316
Na -12.8565 8.5071 -1.7716
Na -25.3822 7.0619 0.5754
Na -14.8238 -4.2051 2.3392
Na -5.4602 -5.5175 2.0913
Na -18.8876 9.1040 2.6253
Na -9.2369 0.8884 -3.1967
Na -17.1389 -1.1447 5.3212
Na -11.1724 -1.2763 0.5227
Na -15.5503 10.4162 -5.3459
Na -3.8535 6.5740 -5.3436
Na -11.9716 3.8859 0.0084
Na -5.0799 -1.7453 -3.7444
Na -23.0353 11.1207 2.9563
Na -9.0333 2.8890 -6.0962
Na -21.3919 0.5646 5.7513
Na -5.2151 -3.7117 -0.6558
Na -14.3473 -3.6250 5.7941
Na -13.1719 6.6915 1.2943
Na -8.9337 1.8485 3.6008
Na -10.4367 5.8441 -4.7119
Na -18.1423 2.9473 0.5340
Na -10.9819 10.7181 -5.4165
Na -18.3113 4.3754 -5.7557
Na -18.4068 -0.0597 9.6149
Na -12.8501 8.0597 -5.0237
Na -4.1028 -6.7580 -2.3337
Na -1.6611 -8.8268 -1.8076
Na -22.1556 6.5078 4.3870
Na -12.1964 -0.7401 5.5387
Na -17.9597 3.4844 3.8006
Na -19.1938 4.5789 8.2739
Na -7.8239 -0.1441 -7.6766
Na -6.5253 -0.7622 0.8550
Na -16.0831 5.8537 0.1170
Na -18.4750 2.4189 -2.9749
Na -9.0585 4.8676 -9.0086
Ti -15.7742 3.1478 -1.4978
Ti -7.9770 -3.5480 0.9080
Ti -6.4202 2.7936 -8.0421
Ti -19.4126 13.1471 -2.0831
Ti -15.9580 6.7327 3.1792
Ti -2.6654 -3.7915 -2.7760
Ti -19.1149 8.1672 -0.4488
Ti -6.3423 1.2113 -1.7288
Ti -2.9813 0.1647 1.9364
Ti -11.7379 -3.6069 3.8864
Ti -8.0551 -2.1700 -5.2040
Ti -20.9129 3.0231 2.1217
Si -19.2142 6.0652 2.3570
Si -23.8437 4.9041 2.2913
Si -18.0030 5.4949 -2.4292
Si -9.4676 -1.1140 2.9888
Si -3.3919 -0.6473 -1.4004
Si -5.0909 -2.5474 2.7391
Si -14.8600 3.6726 1.8457
Si -6.2150 0.7418 -5.1994
Si -10.0276 7.1736 -10.6656
Si -12.1159 4.9341 -7.1326
Si -20.2177 11.2808 0.7857
Si -5.7911 2.1073 1.6281
Si -13.2662 5.5401 -2.2777
Si -16.3689 4.8846 6.1002
Si -11.9886 2.3165 5.8470
Si -15.1993 -0.4634 7.7912
Si -19.4585 -6.0585 8.5499
Si -8.3025 -1.5706 -1.7871
Si -11.3379 -4.2993 0.4958
Si -18.6500 0.5438 3.2745
Si -7.1472 5.8637 -6.6308
Si -15.3420 2.2213 -4.8923
Si -18.6937 10.0288 -3.3767
Si -10.9827 -0.3210 -5.4362
Si -15.8373 8.8671 0.4669
Si -23.2460 0.5944 3.2390
Si -20.2126 -1.5394 7.5602
Y -15.4451 1.7071 4.7689
Y -15.7910 8.0567 -2.9760
Y -21.0655 1.6493 8.8991
Y -10.1704 7.9189 -7.1788
Y -24.7664 8.1049 3.6036
Y -20.8547 -2.0218 4.0264
Y -11.8648 2.8852 -4.2738
Y -17.1223 -3.4252 7.6323
Y -6.4502 0.0854 4.5955
Y -10.2316 6.5999 -0.6745
Y -11.8124 1.6261 2.3463
Y -24.6147 4.4672 -1.2445
S -14.1034 -1.2046 2.9381
S -7.8539 10.7269 -7.8278
S -4.1456 4.1005 -2.5068
S -21.3328 3.7442 5.7883
S -12.6193 1.0193 -1.2355
S -8.7888 -5.4126 3.9481
S -22.2540 7.0373 -1.9868
S -17.5502 -2.7644 11.2190
S -8.6714 3.9418 -2.5276
```



Na2IrAuF6: optimized geometry, PBE.

Output
The value obtained for the spin magnetization is 0.00 μB/f.u. Its energy is -4.126 eV/atom. As for the calculated volume: 17.16 Å³/atom. As for the MP2020-corrected energy: -0.3236 Ry per atom. For the formation energy, the calculation gives -1779 meV/atom. As for the symmetry: No. 225.

Geometry as extended XYZ:
```
10
Lattice="0.0000 4.4107 4.4107 4.4107 0.0000 4.4107 4.4107 4.4107 0.0000" Properties=species:S:1:pos:R:3 pbc="T T T"
Au 4.4107 4.4107 4.4107
F 4.4107 4.4107 2.0392
F 4.4107 2.0392 4.4107
F 6.7822 4.4107 4.4107
F 4.4107 4.4107 6.7822
F 4.4107 6.7822 4.4107
F 2.0392 4.4107 4.4107
Na 6.6161 6.6161 6.6161
Na 2.2054 2.2054 2.2054
Ir 0.0000 0.0000 0.0000
```



Ba3NiN3: optimized geometry, PBE.

Output
The value obtained for the spin magnetization is 0.01 μB/f.u. Its energy is -5.530 eV/atom. As for the calculated volume: 22.65 Å³/atom. As for the MP2020-corrected energy: -0.4178 Ry per atom. For the formation energy, the calculation gives -463 meV/atom. As for the symmetry: No. 11.

Geometry as extended XYZ:
```
14
Lattice="8.0139 -0.0019 0.0000 -4.0087 6.9583 0.0000 0.0000 0.0000 5.6865" Properties=species:S:1:pos:R:3 pbc="T T T"
Ba 4.8128 4.4182 1.4216
Ba -1.4187 6.4067 4.2649
Ba -0.8075 2.5382 4.2649
Ba 1.7831 1.9705 1.4216
Ba 5.4240 0.5497 1.4216
Ba 2.2221 4.9859 4.2649
N 2.2102 2.1939 4.2649
N 1.7951 4.7625 1.4216
N -0.9895 6.1264 1.4216
N 4.9947 0.8300 4.2649
N -0.7813 3.0195 1.4216
N 4.7865 3.9369 4.2649
Ni 0.0038 4.6342 1.4216
Ni 4.0014 2.3222 4.2649
```



calculated volume of number 2 (K3B6ClO10)?
13.59 Å³/atom